Record 1
First-principles (PBE+U) data for crystalline Na8V2O7 at its relaxed geometry, as listed in the Materials Project. Values from VASP.

Symmetry: P2_1/c (14)
Corrected total energy (MP2020 scheme): -379.4 eV per cell
E_tot: -0.3746 Ry per atom
Spin magnetization: 4.00 μB/f.u.
Formation energy from the elements: -1.85 eV/atom
Mass density: 2.714 g/cm³

Cell and atoms, written as Quantum ESPRESSO input:
```
&SYSTEM
  ibrav = 0, nat = 68, ntyp = 3
/
ATOMIC_SPECIES
Na 22.99 Na.upf
V 50.94 V.upf
O 16.00 O.upf
ATOMIC_POSITIONS crystal
Na 0.9995 0.2299 0.1271
Na 0.9995 0.2701 0.6271
Na 0.0005 0.7299 0.3729
Na 0.0005 0.7701 0.8729
Na 0.0702 0.0306 0.6461
Na 0.0702 0.4694 0.1461
Na 0.1583 0.5026 0.4793
Na 0.1583 0.9974 0.9793
Na 0.2135 0.2495 0.9292
Na 0.2135 0.2505 0.4292
Na 0.2459 0.5521 0.7862
Na 0.2459 0.9479 0.2862
Na 0.3775 0.0249 0.5727
Na 0.3775 0.4751 0.0727
Na 0.3939 0.7408 0.4669
Na 0.3939 0.7592 0.9669
Na 0.4175 0.0385 0.8576
Na 0.4175 0.4615 0.3576
Na 0.5825 0.5385 0.6424
Na 0.5825 0.9615 0.1424
Na 0.6061 0.2408 0.0331
Na 0.6061 0.2592 0.5331
Na 0.6225 0.5249 0.9273
Na 0.6225 0.9751 0.4273
Na 0.7541 0.0521 0.7138
Na 0.7541 0.4479 0.2138
Na 0.7865 0.7495 0.5708
Na 0.7865 0.7505 0.0708
Na 0.8417 0.0026 0.0207
Na 0.8417 0.4974 0.5207
Na 0.9298 0.5306 0.8539
Na 0.9298 0.9694 0.3539
V 0.1919 0.7144 0.1528
V 0.1919 0.7856 0.6528
V 0.4083 0.2023 0.2248
V 0.4083 0.2977 0.7248
V 0.5917 0.7023 0.2752
V 0.5917 0.7977 0.7752
V 0.8081 0.2144 0.3472
V 0.8081 0.2856 0.8472
O 0.0440 0.6505 0.6049
O 0.0440 0.8495 0.1049
O 0.1690 0.6151 0.9933
O 0.1690 0.8849 0.4933
O 0.1818 0.6158 0.3024
O 0.1818 0.8842 0.8024
O 0.2500 0.1741 0.6844
O 0.2500 0.3259 0.1844
O 0.3903 0.1101 0.0629
O 0.3903 0.3899 0.5629
O 0.3966 0.6976 0.7198
O 0.3966 0.8024 0.2198
O 0.4005 0.1102 0.3801
O 0.4005 0.3898 0.8801
O 0.5995 0.6102 0.1199
O 0.5995 0.8898 0.6199
O 0.6034 0.1976 0.7802
O 0.6034 0.3024 0.2802
O 0.6097 0.6101 0.4371
O 0.6097 0.8899 0.9371
O 0.7500 0.6741 0.8156
O 0.7500 0.8259 0.3156
O 0.8182 0.1158 0.1976
O 0.8182 0.3842 0.6976
O 0.8310 0.1151 0.5067
O 0.8310 0.3849 0.0067
O 0.9560 0.1505 0.8951
O 0.9560 0.3495 0.3951
CELL_PARAMETERS angstrom
8.8308 0.0000 0.0000
0.0000 11.2606 0.0000
-3.0533 0.0000 9.7899
```

---

Record 2
First-principles (PBE+U) data for crystalline Al2NiO4 at its relaxed geometry, as listed in the Materials Project. Values from VASP.

Relative energy among the computed polymorphs: 0 meV per atom
Corrected total energy (MP2020 scheme): -210.7 eV per cell
E_tot: -0.4976 Ry per atom
Formation energy from the elements: -2.80 eV/atom
Mass density: 4.401 g/cm³

Cell and atoms, written as Quantum ESPRESSO input:
```
&SYSTEM
  ibrav = 0, nat = 28, ntyp = 3
/
ATOMIC_SPECIES
Al 26.98 Al.upf
Ni 58.69 Ni.upf
O 16.00 O.upf
ATOMIC_POSITIONS crystal
Al 0.0000 0.2500 0.1333
Al 0.5000 0.7500 0.6333
Al 0.0000 0.7500 0.8667
Al 0.5000 0.2500 0.3667
Al 0.0000 0.5000 0.5000
Al 0.5000 0.0000 0.0000
Al 0.0000 0.0000 0.5000
Al 0.5000 0.5000 0.0000
Ni 0.2500 0.2500 0.7500
Ni 0.7500 0.2500 0.7500
Ni 0.7500 0.7500 0.2500
Ni 0.2500 0.7500 0.2500
O 0.0000 0.4983 0.2658
O 0.5000 0.9983 0.7658
O 0.0000 0.0017 0.2658
O 0.5000 0.5017 0.7658
O 0.0000 0.9983 0.7342
O 0.5000 0.4983 0.2342
O 0.0000 0.5017 0.7342
O 0.5000 0.0017 0.2342
O 0.2346 0.7500 0.5044
O 0.7346 0.2500 0.0044
O 0.7654 0.7500 0.5044
O 0.2654 0.2500 0.0044
O 0.2346 0.2500 0.4956
O 0.7346 0.7500 0.9956
O 0.7654 0.2500 0.4956
O 0.2654 0.7500 0.9956
CELL_PARAMETERS angstrom
-2.8370 4.9139 0.0000
2.8944 1.6711 4.7266
5.7398 3.3139 -4.6865
```